[1]
The following is a PBE calculation of crystalline Ca2TlSn at its relaxed geometry, from the Materials Project database.

```
data_Ca2TlSn
_chemical_formula_sum 'Ca2 Tl1 Sn1'
_symmetry_space_group_name_H-M 'P 1'
_symmetry_Int_Tables_number 1
_cell_length_a 5.4809
_cell_length_b 5.4809
_cell_length_c 5.4809
_cell_angle_alpha 60.00
_cell_angle_beta 60.00
_cell_angle_gamma 60.00
loop_
_symmetry_equiv_pos_as_xyz
'x,y,z'
loop_
_atom_site_label
_atom_site_fract_x
_atom_site_fract_y
_atom_site_fract_z
Ca1 0.2500 0.2500 0.2500
Tl1 0.5000 0.5000 0.5000
Sn1 0.0000 0.0000 0.0000
Ca2 0.7500 0.7500 0.7500
```

- space-group type = No. 225
- uncorrected energy (eV per atom) = -3.137
- formation energy (meV per atom) = -541


[2]
The following is a PBE calculation of crystalline LaCoSi at its relaxed geometry, from the Materials Project database.

```
data_LaCoSi
_chemical_formula_sum 'La2 Co2 Si2'
_symmetry_space_group_name_H-M 'P 1'
_symmetry_Int_Tables_number 1
_cell_length_a 4.0482
_cell_length_b 4.0482
_cell_length_c 7.3425
_cell_angle_alpha 90.00
_cell_angle_beta 90.00
_cell_angle_gamma 90.00
loop_
_symmetry_equiv_pos_as_xyz
'x,y,z'
loop_
_atom_site_label
_atom_site_fract_x
_atom_site_fract_y
_atom_site_fract_z
La1 0.0000 0.5000 0.3090
Co1 0.0000 0.0000 0.0000
La2 0.5000 0.0000 0.6910
Si1 0.0000 0.5000 0.8417
Si2 0.5000 0.0000 0.1583
Co2 0.5000 0.5000 0.0000
```

- space-group type = No. 129
- uncorrected energy (eV per atom) = -6.513
- formation energy (meV per atom) = -666


[3]
The following is a PBE calculation of crystalline Mg14MnC at its relaxed geometry, from the Materials Project database.

```
data_Mg14MnC
_chemical_formula_sum 'Mg14 Mn1 C1'
_symmetry_space_group_name_H-M 'P 1'
_symmetry_Int_Tables_number 1
_cell_length_a 6.2712
_cell_length_b 6.2712
_cell_length_c 8.8765
_cell_angle_alpha 90.00
_cell_angle_beta 90.00
_cell_angle_gamma 102.59
loop_
_symmetry_equiv_pos_as_xyz
'x,y,z'
loop_
_atom_site_label
_atom_site_fract_x
_atom_site_fract_y
_atom_site_fract_z
Mg1 0.8145 0.1855 0.7677
Mg2 0.6793 0.8845 0.5000
Mg3 0.1647 0.8353 0.5000
Mg4 0.5888 0.8788 0.0000
Mg5 0.1212 0.4112 0.0000
C1 0.2227 0.7773 0.0000
Mg6 0.4008 0.5992 0.2452
Mg7 0.8145 0.1855 0.2323
Mg8 0.9247 0.7013 0.8178
Mn1 0.6086 0.3914 0.0000
Mg9 0.1155 0.3207 0.5000
Mg10 0.4008 0.5992 0.7548
Mg11 0.2987 0.0753 0.8178
Mg12 0.9247 0.7013 0.1822
Mg13 0.6218 0.3782 0.5000
Mg14 0.2987 0.0753 0.1822
```

- energy above the lowest structure with this stoichiometry (meV per atom) = 0
- space-group type = No. 38
- uncorrected energy (eV per atom) = -2.327
- formation energy (meV per atom) = 223


[4]
The following is a PBE calculation of crystalline Ba2DyMgCu4O8 at its relaxed geometry, from the Materials Project database.

```
data_Ba2DyMgCu4O8
_chemical_formula_sum 'Ba2 Dy1 Mg1 Cu4 O8'
_symmetry_space_group_name_H-M 'P 1'
_symmetry_Int_Tables_number 1
_cell_length_a 3.7472
_cell_length_b 3.9912
_cell_length_c 15.0745
_cell_angle_alpha 98.43
_cell_angle_beta 90.00
_cell_angle_gamma 90.00
loop_
_symmetry_equiv_pos_as_xyz
'x,y,z'
loop_
_atom_site_label
_atom_site_fract_x
_atom_site_fract_y
_atom_site_fract_z
O1 0.5000 0.0501 0.0956
O2 0.0000 0.1542 0.2845
O3 0.0000 0.8458 0.7155
Dy1 0.5000 0.5000 0.0000
O4 0.0000 0.7425 0.4474
O5 0.0000 0.5512 0.0989
Cu1 0.0000 0.7522 0.5907
Cu2 0.0000 0.9438 0.8922
Ba1 0.5000 0.6329 0.2476
Mg1 0.5000 0.0000 0.5000
Cu3 0.0000 0.2478 0.4093
Cu4 0.0000 0.0562 0.1078
O6 0.0000 0.2575 0.5526
Ba2 0.5000 0.3671 0.7524
O7 0.0000 0.4488 0.9011
O8 0.5000 0.9499 0.9044
```

- energy above the lowest structure with this stoichiometry (meV per atom) = 0
- space-group type = No. 10
- uncorrected energy (eV per atom) = -5.775
- formation energy (meV per atom) = -1992


[5]
The following is a PBE calculation of crystalline Li5Sb2P5O18 at its relaxed geometry, from the Materials Project database.

```
data_Li5Sb2P5O18
_chemical_formula_sum 'Li10 Sb4 P10 O36'
_symmetry_space_group_name_H-M 'P 1'
_symmetry_Int_Tables_number 1
_cell_length_a 6.8459
_cell_length_b 9.5081
_cell_length_c 11.1279
_cell_angle_alpha 98.16
_cell_angle_beta 89.93
_cell_angle_gamma 91.31
loop_
_symmetry_equiv_pos_as_xyz
'x,y,z'
loop_
_atom_site_label
_atom_site_fract_x
_atom_site_fract_y
_atom_site_fract_z
O1 0.2495 0.4256 0.6086
Sb1 0.3448 0.7570 0.9482
O2 0.2470 0.5805 0.2876
O3 0.3571 0.2840 0.0119
Li1 0.8605 0.7740 0.3344
Li2 0.1395 0.2260 0.6656
O4 0.9634 0.6684 0.1709
Li3 0.6708 0.6227 0.1441
O5 0.1435 0.6863 0.6665
O6 0.5817 0.9733 0.6758
O7 0.2601 0.2424 0.2223
O8 0.7399 0.7576 0.7777
Li4 0.3292 0.3773 0.8559
P1 0.7801 0.9910 0.6002
O9 0.0695 0.4165 0.1155
O10 0.3699 0.9082 0.1120
O11 0.8565 0.3137 0.3335
O12 0.9668 0.8458 0.9563
Sb2 0.2167 0.3638 0.3998
O13 0.4777 0.6361 0.5883
O14 0.2574 0.8958 0.4797
Li5 0.4160 0.7240 0.4001
O15 0.9305 0.5835 0.8845
O16 0.6301 0.0918 0.8880
O17 0.4203 0.2095 0.7373
P2 0.3073 0.5793 0.6674
O18 0.0366 0.3316 0.8291
O19 0.7530 0.4195 0.7124
P3 0.8551 0.4195 0.8343
O20 0.5797 0.7905 0.2627
P4 0.4753 0.0720 0.7849
O21 0.4183 0.0267 0.3242
O22 0.2069 0.1631 0.4736
O23 0.0443 0.9757 0.3150
O24 0.7046 0.3915 0.9351
P5 0.8192 0.7328 0.9015
O25 0.5223 0.3639 0.4117
Li6 0.9808 0.9674 0.1318
Sb3 0.6552 0.2430 0.0518
P6 0.2199 0.0090 0.3998
Li7 0.8177 0.1141 0.3517
O26 0.0332 0.1542 0.0437
O27 0.6429 0.7160 0.9881
P7 0.1808 0.2672 0.0985
O28 0.9557 0.0243 0.6850
O29 0.7028 0.0168 0.1874
Sb4 0.7833 0.6362 0.6002
Li8 0.5840 0.2760 0.5999
P8 0.5247 0.9280 0.2151
O30 0.7931 0.8369 0.5264
O31 0.7426 0.1042 0.5203
O32 0.3765 0.5667 0.7989
Li9 0.1823 0.8859 0.6483
P9 0.6927 0.4207 0.3326
O33 0.2972 0.9832 0.8126
O34 0.7505 0.5744 0.3914
P10 0.1449 0.5805 0.1657
O35 0.2954 0.6085 0.0649
O36 0.6235 0.4333 0.2011
Li10 0.0192 0.0326 0.8682
```

- space-group type = No. 2
- uncorrected energy (eV per atom) = -6.608
- formation energy (meV per atom) = -2555


[6]
The following is a PBE calculation of crystalline Mo3H at its relaxed geometry, from the Materials Project database.

```
data_Mo3H
_chemical_formula_sum 'Mo3 H1'
_symmetry_space_group_name_H-M 'P 1'
_symmetry_Int_Tables_number 1
_cell_length_a 5.0589
_cell_length_b 5.0589
_cell_length_c 5.0589
_cell_angle_alpha 138.87
_cell_angle_beta 138.87
_cell_angle_gamma 59.57
loop_
_symmetry_equiv_pos_as_xyz
'x,y,z'
loop_
_atom_site_label
_atom_site_fract_x
_atom_site_fract_y
_atom_site_fract_z
Mo1 0.7500 0.2500 0.5000
H1 0.0000 0.0000 0.0000
Mo2 0.2500 0.7500 0.5000
Mo3 0.5000 0.5000 0.0000
```

- energy above the lowest structure with this stoichiometry (meV per atom) = 4
- space-group type = No. 139
- uncorrected energy (eV per atom) = -8.087
- formation energy (meV per atom) = 850